MoSeS: optimized geometry, PBE.

Values from the calculation:
* mass density: 4065 kg/m3
* symmetry: P-3m1, No. 164
* calculated formation energy: -0.924 eV/atom
* excess energy over the best structure of this formula in the dataset: 0.003 eV/atom

Unit cell a=3.2565 b=3.2565 c=36.8216 alpha=90.00 beta=90.00 gamma=120.00
Element x y z (fractional)
S: 0.6667 0.3333 0.1359
Mo: 0.3333 0.6667 0.0939
S: 0.6667 0.3333 0.0520
Mo: 0.3333 0.6667 0.7182
Se: 0.3333 0.6667 0.2357
Se: 0.3333 0.6667 0.3280
Se: 0.6667 0.3333 0.6720
Mo: 0.6667 0.3333 0.9061
S: 0.3333 0.6667 0.8641
Mo: 0.6667 0.3333 0.2818
Se: 0.6667 0.3333 0.7643
S: 0.3333 0.6667 0.9480